Here is an optimized crystal structure of CsCrI2 from the Materials Project database. Energies are from PBE-GGA.

Summary:
symmetry	No. 63
M_tot	1.2499	μB/atom
formation enthalpy at 0 K	-750	meV/atom
uncorrected energy	-31.68	eV for the cell shown

abc: 8.1109 8.1109 6.5150
angles: 90.00 90.00 114.72
With the nearest neighbours (Å) after each atom.
Sites, in units of the cell vectors:
Cs: 0.1596 0.8404 0.7500  8 I 3.94-4.17
Cs: 0.8404 0.1596 0.2500  8 I 3.94-4.17
Cr: 0.5000 0.5000 0.0000  4 I 2.93, 2 Cr 3.26
Cr: 0.5000 0.5000 0.5000  4 I 2.93, 2 Cr 3.26
I: 0.1702 0.3588 0.7500  2 Cr 2.93
I: 0.3588 0.1702 0.2500  2 Cr 2.93
I: 0.6412 0.8298 0.7500  2 Cr 2.93
I: 0.8298 0.6412 0.2500  2 Cr 2.93